#w
Li4CoO4 after structural relaxation. Source: the Materials Project, functional PBE with a Hubbard U.

a = 5.2585 Å, b = 9.2112 Å, c = 15.9898 Å
α = 88.03°, β = 90.00°, γ = 90.00°
Closest atoms and distances in Å follow each position.
Element x y z (fractional)
Li (0.8547, 0.5821, 0.7540)  4 O 2.07-2.20
Li (0.1375, 0.6765, 0.9975)  2 O 1.92-2.08
Li (0.6331, 0.6824, 0.3246)  3 O 1.95-2.03
Li (0.1915, 0.7012, 0.6401)  3 O 1.93-2.14
Li (0.8330, 0.9810, 0.4481)  3 O 1.88-1.92
Li (0.8582, 0.1937, 0.3384)  3 O 1.86-2.04
Li (0.6405, 0.8573, 0.0055)  3 O 2.00-2.14
Li (0.4046, 0.1520, 0.6486)  4 O 1.93-2.12
Li (0.3366, 0.8061, 0.1487)  3 O 1.90-2.09
Li (0.6634, 0.8061, 0.6487)  3 O 1.90-2.09
Li (0.3846, 0.3873, 0.7571)  3 O 2.04-2.14
Li (0.8523, 0.8391, 0.8290)  4 O 1.96-2.07
Li (0.1477, 0.8391, 0.3290)  4 O 1.96-2.07
Li (0.8085, 0.7012, 0.1401)  3 O 1.93-2.14
Li (0.8625, 0.6765, 0.4975)  2 O 1.92-2.08
Li (0.3165, 0.5471, 0.4453)  2 O 1.89-1.96
Li (0.5954, 0.1520, 0.1486)  4 O 1.93-2.12
Li (0.6962, 0.2797, 0.5165)  3 O 1.87-2.05
Li (0.1999, 0.2487, 0.2153)  3 O 1.95-2.13
Li (0.1670, 0.9810, 0.9481)  3 O 1.88-1.92
Li (0.3038, 0.2797, 0.0165)  3 O 1.87-2.05
Li (0.2978, 0.9453, 0.7583)  4 O 1.96-2.18
Li (0.6835, 0.5471, 0.9453)  2 O 1.89-1.96
Li (0.7022, 0.9453, 0.2583)  4 O 1.96-2.18
Li (0.3669, 0.6824, 0.8246)  3 O 1.95-2.03
Li (0.1453, 0.5821, 0.2540)  4 O 2.07-2.20
Li (0.1229, 0.3599, 0.5870)  4 O 1.90-2.12
Li (0.6154, 0.3873, 0.2571)  3 O 2.04-2.14
Li (0.1418, 0.1937, 0.8384)  3 O 1.86-2.04
Li (0.8001, 0.2487, 0.7153)  3 O 1.95-2.13
Li (0.3595, 0.8573, 0.5055)  3 O 2.00-2.14
Li (0.8771, 0.3599, 0.0870)  4 O 1.90-2.12
O (0.4225, 0.1298, 0.9507)  1 Co 1.76, 2 Li 1.87-1.92
O (0.0730, 0.0380, 0.3651)  1 Co 1.79, 3 Li 1.86-1.98
O (0.0265, 0.6513, 0.3737)  1 Co 1.84, 1 Li 1.96
O (0.9683, 0.8631, 0.5353)  1 Co 1.80, 2 Li 1.88-1.92
O (0.4923, 0.6274, 0.7100)  1 Co 1.83, 2 Li 2.03-2.04
O (0.9949, 0.3752, 0.2843)  1 Co 1.82, 2 Li 1.96-1.99
O (0.4018, 0.9445, 0.6268)  1 Co 1.83, 2 Li 1.90-1.95
O (0.5172, 0.6564, 0.0333)  1 Co 1.81, 2 Li 1.96-2.00
O (0.0259, 0.8481, 0.2127)  1 Co 1.83, 2 Li 1.97
O (0.5631, 0.4813, 0.3696)  1 Co 1.79, 2 Li 1.89-2.00
O (0.0054, 0.3860, 0.4750)  1 Co 1.76, 1 Li 1.90
O (0.0052, 0.1592, 0.6299)  1 Co 1.78, 1 Li 1.95
O (0.9735, 0.6513, 0.8737)  1 Co 1.84, 1 Li 1.96
O (0.9270, 0.0380, 0.8651)  1 Co 1.79, 3 Li 1.86-1.98
O (0.5357, 0.1597, 0.2704)  1 Co 1.83, 2 Li 1.98-2.04
O (0.0051, 0.3752, 0.7843)  1 Co 1.82, 2 Li 1.96-1.99
O (0.5077, 0.6274, 0.2100)  1 Co 1.83, 2 Li 2.03-2.04
O (0.4643, 0.1597, 0.7704)  1 Co 1.83, 2 Li 1.98-2.04
O (0.0615, 0.5548, 0.1205)  1 Co 1.79, 1 Li 1.93
O (0.5019, 0.3488, 0.6190)  1 Co 1.80, 1 Li 1.93
O (0.9385, 0.5548, 0.6205)  1 Co 1.79, 1 Li 1.93
O (0.5248, 0.8738, 0.3593)  1 Co 1.87, 3 Li 1.95-2.07
O (0.4369, 0.4813, 0.8696)  1 Co 1.79, 2 Li 1.89-2.00
O (0.9741, 0.8481, 0.7127)  1 Co 1.83, 2 Li 1.97
O (0.5982, 0.9445, 0.1268)  1 Co 1.83, 2 Li 1.90-1.95
O (0.5775, 0.1298, 0.4507)  1 Co 1.76, 2 Li 1.87-1.92
O (0.4828, 0.6564, 0.5333)  1 Co 1.81, 2 Li 1.96-2.00
O (0.9946, 0.3860, 0.9750)  1 Co 1.76, 1 Li 1.90
O (0.4981, 0.3488, 0.1190)  1 Co 1.80, 1 Li 1.93
O (0.9948, 0.1592, 0.1299)  1 Co 1.78, 1 Li 1.95
O (0.4752, 0.8738, 0.8593)  1 Co 1.87, 3 Li 1.95-2.07
O (0.0317, 0.8631, 0.0353)  1 Co 1.80, 2 Li 1.88-1.92
Co (0.0987, 0.4645, 0.8792)  4 O 1.76-1.84
Co (0.5897, 0.0650, 0.8641)  4 O 1.76-1.87
Co (0.0570, 0.9688, 0.6233)  4 O 1.78-1.83
Co (0.4103, 0.0650, 0.3641)  4 O 1.76-1.87
Co (0.9430, 0.9688, 0.1233)  4 O 1.78-1.83
Co (0.9013, 0.4645, 0.3792)  4 O 1.76-1.84
Co (0.4002, 0.5363, 0.1165)  4 O 1.79-1.83
Co (0.5998, 0.5363, 0.6165)  4 O 1.79-1.83

Computed properties:
- M_tot (μB/cell) = 40.01


#x
Li4CoO4 after structural relaxation. Source: the Materials Project, functional PBE with a Hubbard U.

a = 5.4128 Å, b = 8.9476 Å, c = 16.0759 Å
α = 90.00°, β = 90.00°, γ = 90.00°
Closest atoms and distances in Å follow each position.
Element x y z (fractional)
O (0.6406, 0.5425, 0.1181)  1 Co 1.80, 1 Li 1.90
O (0.1406, 0.4575, 0.3819)  1 Co 1.80, 1 Li 1.90
O (0.1923, 0.6311, 0.0333)  1 Co 1.78, 2 Li 1.90-1.91
O (0.8077, 0.8689, 0.5333)  1 Co 1.78, 2 Li 1.90-1.91
O (0.7514, 0.8721, 0.2297)  1 Co 1.78, 1 Li 1.95
O (0.1923, 0.1311, 0.4667)  1 Co 1.78, 2 Li 1.90-1.91
O (0.6923, 0.8689, 0.0333)  1 Co 1.78, 2 Li 1.90-1.91
O (0.7870, 0.1400, 0.6300)  1 Co 1.84, 2 Li 1.92-2.02
O (0.3594, 0.4575, 0.8819)  1 Co 1.80, 1 Li 1.90
O (0.7486, 0.3721, 0.7703)  1 Co 1.78, 1 Li 1.95
O (0.2486, 0.6279, 0.7297)  1 Co 1.78, 1 Li 1.95
O (0.3594, 0.9575, 0.6181)  1 Co 1.80, 1 Li 1.90
O (0.6406, 0.0425, 0.3819)  1 Co 1.80, 1 Li 1.90
O (0.7130, 0.1400, 0.1300)  1 Co 1.84, 2 Li 1.92-2.02
O (0.2486, 0.1279, 0.7703)  1 Co 1.78, 1 Li 1.95
O (0.2514, 0.1279, 0.2703)  1 Co 1.78, 1 Li 1.95
O (0.3077, 0.1311, 0.9667)  1 Co 1.78, 2 Li 1.90-1.91
O (0.8594, 0.5425, 0.6181)  1 Co 1.80, 1 Li 1.90
O (0.7870, 0.6400, 0.8700)  1 Co 1.84, 2 Li 1.92-2.02
O (0.7514, 0.3721, 0.2703)  1 Co 1.78, 1 Li 1.95
O (0.7486, 0.8721, 0.7297)  1 Co 1.78, 1 Li 1.95
O (0.7130, 0.6400, 0.3700)  1 Co 1.84, 2 Li 1.92-2.02
O (0.2130, 0.3600, 0.1300)  1 Co 1.84, 2 Li 1.92-2.02
O (0.2870, 0.8600, 0.8700)  1 Co 1.84, 2 Li 1.92-2.02
O (0.6923, 0.3689, 0.4667)  1 Co 1.78, 2 Li 1.90-1.91
O (0.2870, 0.3600, 0.6300)  1 Co 1.84, 2 Li 1.92-2.02
O (0.2130, 0.8600, 0.3700)  1 Co 1.84, 2 Li 1.92-2.02
O (0.3077, 0.6311, 0.5333)  1 Co 1.78, 2 Li 1.90-1.91
O (0.8594, 0.0425, 0.8819)  1 Co 1.80, 1 Li 1.90
O (0.8077, 0.3689, 0.9667)  1 Co 1.78, 2 Li 1.90-1.91
O (0.1406, 0.9575, 0.1181)  1 Co 1.80, 1 Li 1.90
O (0.2514, 0.6279, 0.2297)  1 Co 1.78, 1 Li 1.95
Co (0.3103, 0.0565, 0.3719)  4 O 1.78-1.84
Co (0.1897, 0.0565, 0.8719)  4 O 1.78-1.84
Co (0.8103, 0.9435, 0.1281)  4 O 1.78-1.84
Co (0.3103, 0.5565, 0.1281)  4 O 1.78-1.84
Co (0.6897, 0.4435, 0.8719)  4 O 1.78-1.84
Co (0.6897, 0.9435, 0.6281)  4 O 1.78-1.84
Co (0.8103, 0.4435, 0.3719)  4 O 1.78-1.84
Co (0.1897, 0.5565, 0.6281)  4 O 1.78-1.84
Li (0.3606, 0.8990, 0.7403)  4 O 2.03-2.19
Li (0.3606, 0.3990, 0.7597)  4 O 2.03-2.19
Li (0.8606, 0.6010, 0.7403)  4 O 2.03-2.19
Li (0.5799, 0.4475, 0.5698)  3 O 1.90-2.02
Li (0.9193, 0.8282, 0.8337)  4 O 1.92-2.09
Li (0.8606, 0.1010, 0.7597)  4 O 2.03-2.19
Li (0.1394, 0.8990, 0.2403)  4 O 2.03-2.19
Li (0.9069, 0.6667, 0.5144)  2 O 1.91-2.02
Li (0.0807, 0.1718, 0.1663)  4 O 1.92-2.09
Li (0.5807, 0.8282, 0.3337)  4 O 1.92-2.09
Li (0.4069, 0.8332, 0.5144)  2 O 1.91-2.02
Li (0.5799, 0.9475, 0.9302)  3 O 1.90-2.02
Li (0.0931, 0.8332, 0.0144)  2 O 1.91-2.02
Li (0.0807, 0.6718, 0.3337)  4 O 1.92-2.09
Li (0.9201, 0.9475, 0.4302)  3 O 1.90-2.02
Li (0.9193, 0.3282, 0.6663)  4 O 1.92-2.09
Li (0.6394, 0.1010, 0.2597)  4 O 2.03-2.19
Li (0.9069, 0.1668, 0.9856)  2 O 1.91-2.02
Li (0.6394, 0.6010, 0.2403)  4 O 2.03-2.19
Li (0.4201, 0.5525, 0.4302)  3 O 1.90-2.02
Li (0.5931, 0.1668, 0.4856)  2 O 1.91-2.02
Li (0.9201, 0.4475, 0.0698)  3 O 1.90-2.02
Li (0.5807, 0.3282, 0.1663)  4 O 1.92-2.09
Li (0.1394, 0.3990, 0.2597)  4 O 2.03-2.19
Li (0.5931, 0.6667, 0.0144)  2 O 1.91-2.02
Li (0.0799, 0.5525, 0.9302)  3 O 1.90-2.02
Li (0.4193, 0.1718, 0.6663)  4 O 1.92-2.09
Li (0.0931, 0.3332, 0.4856)  2 O 1.91-2.02
Li (0.4201, 0.0525, 0.0698)  3 O 1.90-2.02
Li (0.0799, 0.0525, 0.5698)  3 O 1.90-2.02
Li (0.4193, 0.6718, 0.8337)  4 O 1.92-2.09
Li (0.4069, 0.3332, 0.9856)  2 O 1.91-2.02

Computed properties:
- M_tot (μB/cell) = 24.00


#y
Li4CoO4 after structural relaxation. Source: the Materials Project, functional PBE with a Hubbard U.

a = 4.8029 Å, b = 8.8291 Å, c = 8.8016 Å
α = 90.00°, β = 90.00°, γ = 90.00°
Closest atoms and distances in Å follow each position.
Element x y z (fractional)
O (0.4458, 0.8688, 0.6319)  1 Co 1.82, 3 Li 1.94-2.01
O (0.5547, 0.1185, 0.3810)  1 Co 1.82, 3 Li 1.94-2.00
O (0.0542, 0.1312, 0.6319)  1 Co 1.82, 3 Li 1.94-2.01
O (0.9453, 0.3815, 0.8810)  1 Co 1.82, 3 Li 1.94-2.00
O (0.5547, 0.8815, 0.1190)  1 Co 1.82, 3 Li 1.94-2.00
O (0.0542, 0.8688, 0.8681)  1 Co 1.82, 3 Li 1.94-2.01
O (0.9453, 0.6185, 0.6190)  1 Co 1.82, 3 Li 1.94-2.00
O (0.9453, 0.1185, 0.1190)  1 Co 1.82, 3 Li 1.94-2.00
O (0.0542, 0.6312, 0.1319)  1 Co 1.82, 3 Li 1.94-2.01
O (0.9453, 0.8815, 0.3810)  1 Co 1.82, 3 Li 1.94-2.00
O (0.5547, 0.3815, 0.6190)  1 Co 1.82, 3 Li 1.94-2.00
O (0.4458, 0.6312, 0.3681)  1 Co 1.82, 3 Li 1.94-2.01
O (0.4458, 0.1312, 0.8681)  1 Co 1.82, 3 Li 1.94-2.01
O (0.4458, 0.3688, 0.1319)  1 Co 1.82, 3 Li 1.94-2.01
O (0.5547, 0.6185, 0.8810)  1 Co 1.82, 3 Li 1.94-2.00
O (0.0542, 0.3688, 0.3681)  1 Co 1.82, 3 Li 1.94-2.01
Li (0.2500, 0.8018, 0.2500)  4 O 1.99-2.06
Li (0.7500, 0.0000, 0.5520)  4 O 1.99-2.06
Li (0.2500, 0.6982, 0.7500)  4 O 1.99-2.06
Li (0.2500, 0.3018, 0.7500)  4 O 1.99-2.06
Li (0.1846, 0.2500, 0.0000)  4 O 1.94-2.01
Li (0.3154, 0.7500, 0.0000)  4 O 1.94-2.01
Li (0.6847, 0.2500, 0.0000)  4 O 1.94-2.00
Li (0.7500, 0.5000, 0.4480)  4 O 1.99-2.06
Li (0.7500, 0.0000, 0.9480)  4 O 1.99-2.06
Li (0.8153, 0.7500, 0.0000)  4 O 1.94-2.00
Li (0.8153, 0.2500, 0.5000)  4 O 1.94-2.00
Li (0.3154, 0.2500, 0.5000)  4 O 1.94-2.01
Li (0.7500, 0.5000, 0.0520)  4 O 1.99-2.06
Li (0.1846, 0.7500, 0.5000)  4 O 1.94-2.01
Li (0.2500, 0.1983, 0.2500)  4 O 1.99-2.06
Li (0.6847, 0.7500, 0.5000)  4 O 1.94-2.00
Co (0.7500, 0.5000, 0.7500)  4 O 1.82
Co (0.2500, 0.5000, 0.2500)  4 O 1.82
Co (0.2500, 0.0000, 0.7500)  4 O 1.82
Co (0.7500, 0.0000, 0.2500)  4 O 1.82

Computed properties:
- maximum piezoelectric response (C/m²) = 0.1
- M_tot (μB/cell) = 0.00


#z
Li4CoO4 after structural relaxation. Source: the Materials Project, functional PBE with a Hubbard U.

a = 9.3503 Å, b = 9.1429 Å, c = 9.1973 Å
α = 88.77°, β = 90.00°, γ = 90.00°
Closest atoms and distances in Å follow each position.
Element x y z (fractional)
Li (0.6201, 0.1295, 0.6007)  4 O 1.90-2.00
Li (0.6088, 0.8474, 0.6416)  3 O 1.89-1.99
Li (0.3799, 0.6295, 0.6007)  4 O 1.90-2.00
Li (0.8680, 0.6079, 0.1695)  4 O 1.95-2.08
Li (0.3671, 0.4010, 0.1203)  4 O 1.96-2.12
Li (0.6329, 0.9010, 0.1203)  4 O 1.96-2.12
Li (0.1019, 0.6302, 0.3836)  4 O 1.94-2.07
Li (0.1302, 0.3639, 0.3995)  4 O 1.86-2.08
Li (0.3912, 0.3474, 0.6416)  3 O 1.89-1.99
Li (0.6331, 0.6569, 0.3939)  4 O 1.88-2.10
Li (0.8642, 0.1625, 0.0946)  2 O 1.87-1.99
Li (0.6348, 0.1021, 0.3293)  4 O 1.92-2.09
Li (0.1358, 0.6625, 0.0946)  2 O 1.87-1.99
Li (0.1205, 0.4161, 0.6810)  2 O 1.91-1.97
Li (0.6298, 0.3656, 0.1081)  4 O 1.85-2.03
Li (0.6038, 0.6375, 0.1112)  4 O 1.90-2.09
Li (0.3652, 0.6021, 0.3293)  4 O 1.92-2.09
Li (0.1320, 0.1079, 0.1695)  4 O 1.95-2.08
Li (0.3669, 0.1569, 0.3939)  4 O 1.88-2.10
Li (0.8504, 0.3242, 0.6440)  3 O 1.92-2.11
Li (0.3690, 0.9030, 0.8443)  4 O 1.94-2.12
Li (0.8795, 0.9161, 0.6810)  2 O 1.91-1.97
Li (0.8981, 0.1302, 0.3836)  4 O 1.94-2.07
Li (0.8698, 0.8639, 0.3995)  4 O 1.86-2.08
Li (0.3962, 0.1375, 0.1112)  4 O 1.90-2.09
Li (0.8670, 0.3973, 0.3605)  4 O 1.95-2.02
Li (0.1330, 0.8973, 0.3605)  4 O 1.95-2.02
Li (0.3702, 0.8656, 0.1081)  4 O 1.85-2.03
Li (0.1496, 0.8242, 0.6440)  3 O 1.92-2.11
Li (0.8832, 0.6287, 0.8881)  4 O 1.96-2.12
Li (0.6310, 0.4030, 0.8443)  4 O 1.94-2.12
Li (0.1168, 0.1287, 0.8881)  4 O 1.96-2.12
O (0.7050, 0.0012, 0.7476)  1 Co 1.79, 3 Li 1.91-1.95
O (0.7334, 0.2545, 0.4618)  1 Co 1.84, 3 Li 2.00-2.05
O (0.4680, 0.7417, 0.7477)  1 Co 1.79, 3 Li 1.89-1.97
O (0.5012, 0.7642, 0.2528)  1 Co 1.84, 3 Li 2.01-2.03
O (0.4988, 0.2642, 0.2528)  1 Co 1.84, 3 Li 2.01-2.03
O (0.7115, 0.2337, 0.9833)  1 Co 1.78, 2 Li 1.85-1.87
O (0.2429, 0.2493, 0.5236)  1 Co 1.82, 3 Li 1.86-1.99
O (0.9876, 0.4953, 0.5016)  1 Co 1.87, 3 Li 1.94-2.04
O (0.2153, 0.0006, 0.7397)  1 Co 1.77, 2 Li 1.94-1.95
O (0.9818, 0.7318, 0.7248)  1 Co 1.78, 3 Li 1.92-1.98
O (0.7784, 0.7583, 0.0447)  1 Co 1.80, 1 Li 1.96
O (0.5320, 0.2417, 0.7477)  1 Co 1.79, 3 Li 1.89-1.97
O (0.0060, 0.0143, 0.0305)  1 Co 1.75, 2 Li 1.95-1.96
O (0.2666, 0.7545, 0.4618)  1 Co 1.84, 3 Li 2.00-2.05
O (0.2950, 0.5012, 0.7476)  1 Co 1.79, 3 Li 1.91-1.95
O (0.7847, 0.5006, 0.7397)  1 Co 1.77, 2 Li 1.94-1.95
O (0.2108, 0.4977, 0.2416)  1 Co 1.85, 4 Li 1.92-2.07
O (0.9950, 0.2663, 0.2505)  1 Co 1.83, 2 Li 1.95-1.99
O (0.9940, 0.5143, 0.0305)  1 Co 1.75, 2 Li 1.95-1.96
O (0.4943, 0.0016, 0.9930)  1 Co 1.85, 4 Li 1.90-2.03
O (0.0050, 0.7663, 0.2505)  1 Co 1.83, 2 Li 1.95-1.99
O (0.5057, 0.5016, 0.9930)  1 Co 1.85, 4 Li 1.90-2.03
O (0.7571, 0.7493, 0.5236)  1 Co 1.82, 3 Li 1.86-1.99
O (0.7892, 0.9977, 0.2416)  1 Co 1.85, 4 Li 1.92-2.07
O (0.5120, 0.9999, 0.4751)  1 Co 1.77, 1 Li 1.95
O (0.4880, 0.4999, 0.4751)  1 Co 1.77, 1 Li 1.95
O (0.2216, 0.2583, 0.0447)  1 Co 1.80, 1 Li 1.96
O (0.2885, 0.7337, 0.9833)  1 Co 1.78, 2 Li 1.85-1.87
O (0.2908, 0.0001, 0.2605)  1 Co 1.86, 4 Li 1.96-2.03
O (0.0124, 0.9953, 0.5016)  1 Co 1.87, 3 Li 1.94-2.04
O (0.0182, 0.2318, 0.7248)  1 Co 1.78, 3 Li 1.92-1.98
O (0.7092, 0.5002, 0.2605)  1 Co 1.86, 4 Li 1.96-2.03
Co (0.3890, 0.6131, 0.8726)  4 O 1.78-1.85
Co (0.0978, 0.3834, 0.1245)  4 O 1.75-1.85
Co (0.6110, 0.1131, 0.8726)  4 O 1.78-1.85
Co (0.8746, 0.6179, 0.6139)  4 O 1.77-1.87
Co (0.1254, 0.1179, 0.6139)  4 O 1.77-1.87
Co (0.4012, 0.8784, 0.3795)  4 O 1.77-1.86
Co (0.9022, 0.8834, 0.1245)  4 O 1.75-1.85
Co (0.5988, 0.3784, 0.3795)  4 O 1.77-1.86

Computed properties:
- M_tot (μB/cell) = 39.61


How do the energies compare? Relative to the most stable structure, in kJ/mol of atoms: #w 2.1; #x 7.6; #y 3.4; #z 0.0.